# 1
A relaxed Sr8Y4Cu11CO28 crystal, computed with PBE-GGA.

a = 3.8758 Å, b = 22.7618 Å, c = 15.2771 Å
α = 90.00°, β = 90.00°, γ = 90.00°
With the nearest neighbours (Å) after each atom.
Space group Amm2 (No. 38)
Unique sites:
Sr  0.0000  0.0888  0.0000 [4 per cell]  6 O 2.59-2.81
Sr  0.0000  0.0915  0.2335 [4 per cell]  8 O 2.65-2.93
Sr  0.0000  0.0916  0.4696 [4 per cell]  8 O 2.66-2.92
Sr  0.0000  0.0923  0.7033 [4 per cell]  8 O 2.61-2.79
Y  0.0000  0.2455  0.9753 [4 per cell]  8 O 2.35-2.49
Y  0.0000  0.2465  0.7266 [4 per cell]  8 O 2.36-2.47
Cu  0.5000  0.0000  0.1142 [2 per cell]  4 O 1.88-1.94
Cu  0.5000  0.0000  0.3512 [2 per cell]  4 O 1.89-1.94
Cu  0.5000  0.0000  0.5912 [2 per cell]  4 O 1.88-1.95
Cu  0.5000  0.1714  0.8508 [4 per cell]  4 O 1.92-1.94
Cu  0.5000  0.1767  0.1045 [4 per cell]  5 O 1.92-2.15
Cu  0.5000  0.1776  0.5974 [4 per cell]  4 O 1.92-1.95
Cu  0.5000  0.1802  0.3513 [4 per cell]  4 O 1.92-1.95
C  0.5000  0.0000  0.8494 [2 per cell]  3 O 1.30-1.31
O  0.0000  0.0000  0.1069 [2 per cell]  2 Cu 1.94
O  0.0000  0.0000  0.3518 [2 per cell]  2 Cu 1.94
O  0.0000  0.0000  0.6023 [2 per cell]  2 Cu 1.95
O  0.0000  0.1776  0.8510 [4 per cell]  2 Cu 1.94
O  0.0000  0.1861  0.1034 [4 per cell]  2 Cu 1.95
O  0.0000  0.1867  0.5984 [4 per cell]  2 Cu 1.95
O  0.0000  0.1910  0.3513 [4 per cell]  2 Cu 1.95
O  0.5000  0.0000  0.9352 [2 per cell]  1 C 1.31
O  0.5000  0.0497  0.8075 [4 per cell]  1 C 1.30
O  0.5000  0.0825  0.1123 [4 per cell]  1 Cu 1.88
O  0.5000  0.0824  0.5883 [4 per cell]  1 Cu 1.88
O  0.5000  0.0832  0.3510 [4 per cell]  1 Cu 1.89
O  0.5000  0.1767  0.9765 [4 per cell]  2 Cu 1.92-1.96
O  0.5000  0.1795  0.7251 [4 per cell]  2 Cu 1.93-1.95
O  0.5000  0.1943  0.2275 [4 per cell]  2 Cu 1.92
O  0.5000  0.1959  0.4746 [4 per cell]  2 Cu 1.92

Summary:
Spin magnetization, μB/f.u.: 0.00
DFT total energy, eV/atom: -6.385
ρ, g/cm3: 5.5
Energy relative to the elements, eV per atom: -2.289
MP2020-corrected energy, Ha/atom: -0.2483


# 2
A relaxed Tl2CuC2O6 crystal, computed with PBE-GGA.

a = 7.7021 Å, b = 9.9745 Å, c = 9.2789 Å
α = 90.00°, β = 111.45°, γ = 90.00°
With the nearest neighbours (Å) after each atom.
Space group P2_1/c (No. 14)
Unique sites:
Tl  0.1218  0.2028  0.0178 [4 per cell]  3 O 2.67-2.87
Tl  0.2658  0.6104  0.3520 [4 per cell]  5 O 2.71-3.02
Cu  0.4611  0.1060  0.4231 [4 per cell]  4 O 2.01-2.04
C  0.1392  0.5496  0.9053 [4 per cell]  3 O 1.28-1.32
C  0.4797  0.1174  0.7503 [4 per cell]  3 O 1.28-1.31
O  0.0301  0.0892  0.6560 [4 per cell]  1 C 1.28
O  0.1881  0.0654  0.3620 [4 per cell]  1 C 1.32
O  0.2609  0.6251  0.0090 [4 per cell]  1 C 1.31
O  0.4392  0.1715  0.8591 [4 per cell]  1 C 1.28
O  0.4610  0.1861  0.6252 [4 per cell]  1 C 1.31
O  0.4617  0.0068  0.2346 [4 per cell]  1 C 1.31

Summary:
Spin magnetization, μB/f.u.: 1.00
DFT total energy, eV/atom: -6.290
ρ, g/cm3: 5.9
Energy relative to the elements, eV per atom: -1.485
MP2020-corrected energy, Ha/atom: -0.2449


# 3
A relaxed ZnCuCO5 crystal, computed with PBE-GGA.

a = 3.2409 Å, b = 8.8276 Å, c = 12.5899 Å
α = 90.00°, β = 98.47°, γ = 90.00°
With the nearest neighbours (Å) after each atom.
Space group P2_1/c (No. 14)
Unique sites:
Zn  0.1003  0.2296  0.3952 [4 per cell]  5 O 2.04-2.07
Cu  0.4795  0.0008  0.2161 [4 per cell]  4 O 1.82-1.93
C  0.1202  0.2204  0.6358 [4 per cell]  3 O 1.25-1.33
O  0.0636  0.1324  0.1381 [4 per cell]  1 C 1.31
O  0.1132  0.1483  0.7281 [4 per cell]  1 C 1.33
O  0.1592  0.1505  0.5512 [4 per cell]  1 C 1.25
O  0.3929  0.6269  0.5980 [4 per cell]  1 Cu 1.85, 2 Zn 2.05-2.07
O  0.4349  0.6093  0.1596 [4 per cell]  1 Cu 1.82

Summary:
Spin magnetization, μB/f.u.: 1.00
DFT total energy, eV/atom: -5.721
ρ, g/cm3: 4.1
Energy relative to the elements, eV per atom: -1.234
MP2020-corrected energy, Ha/atom: -0.2260


# 4
A relaxed RbCuC2 crystal, computed with PBE-GGA.

a = 4.9311 Å, b = 4.9311 Å, c = 8.4926 Å
α = 90.00°, β = 90.00°, γ = 90.00°
With the nearest neighbours (Å) after each atom.
Space group P4_2/mmc (No. 131)
Unique sites:
Rb  0.0000  0.0000  0.2500 [2 per cell]  8 C 3.31
Cu  0.5000  0.5000  0.0000 [2 per cell]  2 C 1.84
C  0.1272  0.5000  0.0000 [4 per cell]  1 C 1.25

Summary:
Spin magnetization, μB/f.u.: 0.00
DFT total energy, eV/atom: -5.608
ρ, g/cm3: 2.8
Energy relative to the elements, eV per atom: 0.276


# 5
A relaxed RbCuC2 crystal, computed with PBE-GGA.

a = 4.5413 Å, b = 4.5413 Å, c = 4.9449 Å
α = 90.00°, β = 90.00°, γ = 90.00°
With the nearest neighbours (Å) after each atom.
Space group P4/mmm (No. 123)
Unique sites:
Rb  0.0000  0.0000  0.0000 [1 per cell]  8 C 3.27
Cu  0.5000  0.5000  0.5000 [1 per cell]  2 C 1.84
C  0.5000  0.5000  0.1269 [2 per cell]  1 C 1.26

Summary:
Spin magnetization, μB/f.u.: 0.00
DFT total energy, eV/atom: -5.601
ρ, g/cm3: 2.8
Energy relative to the elements, eV per atom: 0.283


# 6
A relaxed CuCS crystal, computed with PBE-GGA.

a = 8.3767 Å, b = 8.3767 Å, c = 3.6066 Å
α = 90.00°, β = 90.00°, γ = 90.00°
With the nearest neighbours (Å) after each atom.
Space group P4_2/m (No. 84)
Unique sites:
Cu  0.0594  0.1404  0.0000 [4 per cell]  3 S 2.39-2.61, 5 Cu 2.55
C  0.2069  0.5962  0.0000 [4 per cell]  1 S 1.60
S  0.2165  0.2429  0.5000 [4 per cell]  1 C 1.60

Summary:
Spin magnetization, μB/f.u.: 0.00
DFT total energy, eV/atom: -4.466
ρ, g/cm3: 2.8
Energy relative to the elements, eV per atom: 1.188
MP2020-corrected energy, Ha/atom: -0.1703


# 7
A relaxed Dy2C3 crystal, computed with PBE-GGA.

a = 8.2374 Å, b = 8.2374 Å, c = 8.2374 Å
α = 90.00°, β = 90.00°, γ = 90.00°
With the nearest neighbours (Å) after each atom.
Space group I-43d (No. 220)
Unique sites:
Dy  0.0506  0.0506  0.0506 [16 per cell]  6 C 2.51-2.62
C  0.0000  0.2500  0.2937 [24 per cell]  1 C 1.34

Summary:
DFT total energy, eV/atom: -7.641
ρ, g/cm3: 8.6
Energy relative to the elements, eV per atom: -0.262


# 8
A relaxed Dy2C crystal, computed with PBE-GGA.

a = 3.5930 Å, b = 3.5930 Å, c = 18.4594 Å
α = 90.00°, β = 90.00°, γ = 120.00°
With the nearest neighbours (Å) after each atom.
Space group R-3m (No. 166, hexagonal axes)
Unique sites:
Dy  0.0000  0.0000  0.2397 [6 per cell]  3 C 2.47
C  0.0000  0.0000  0.5000 [3 per cell]  6 Dy 2.47

Summary:
DFT total energy, eV/atom: -6.425
ρ, g/cm3: 8.1
Energy relative to the elements, eV per atom: -0.277